[1]
Sm2In3Sn3 (PBE-GGA, optimized geometry); space-group type = Pmmm; calculated formation energy = -467 meV per atom
1.0
-3.122 2.270 -2.701
-0.298 -3.785 -2.837
-7.030 -3.398 5.271
Sn Sm In
3 2 3
Direct
0.500 0.000 0.000 Sn
0.500 0.000 0.500 Sn
0.000 0.500 0.000 Sn
0.000 0.000 0.246 Sm
0.000 0.000 0.754 Sm
0.500 0.500 0.252 In
0.500 0.500 0.748 In
0.000 0.500 0.500 In



[2]
Sm2ZnIn (PBE-GGA, optimized geometry); space-group type = Fm-3m; calculated formation energy = -397 meV per atom
1.0
0.000 3.764 3.764
3.764 0.000 3.764
3.764 3.764 0.000
Zn In Sm
1 1 2
Direct
0.000 0.000 0.000 Zn
0.500 0.500 0.500 In
0.250 0.250 0.250 Sm
0.750 0.750 0.750 Sm



[3]
SmZnIn (PBE-GGA, optimized geometry); space-group type = P6_3/mmc; calculated formation energy = -450 meV per atom
1.0
0.023 2.905 3.714
-3.944 -2.308 -1.163
2.020 -5.685 4.435
In Sm Zn
2 2 2
Direct
0.333 0.667 0.250 In
0.667 0.333 0.750 In
0.000 0.000 0.500 Sm
0.000 0.000 0.000 Sm
0.333 0.667 0.750 Zn
0.667 0.333 0.250 Zn



Number 1: final energy -33.46 eV per cell. Number 2: final energy -15.04 eV per cell. Number 3: final energy -20.16 eV per cell.